# 1
Material: SmYFe17
Method: DFT, PBE-GGA
State: relaxed

Summary:
Calculated total energy = -0.5996 Ry per atom
Theoretical density = 7.59 g/cm³
E_form = 16 kJ/mol of formula units

Geometry as extended XYZ:
```
19
Lattice="5.863 -1.539 2.132 2.654 5.802 -0.762 -0.811 2.028 6.043" Properties=species:S:1:pos:R:3 pbc="T T T"
Sm 5.069 4.139 4.876
Y 2.632 2.148 2.531
Fe 1.328 2.900 -0.378
Fe 2.931 -0.766 1.067
Fe -0.402 1.015 3.020
Fe 3.920 -0.497 3.269
Fe 0.201 3.125 4.061
Fe 3.587 3.664 0.084
Fe 1.648 4.701 1.220
Fe 4.926 0.600 1.292
Fe 1.134 0.992 4.902
Fe 6.960 5.682 6.694
Fe 0.751 0.613 0.722
Fe 3.979 5.075 2.162
Fe 5.592 1.387 3.616
Fe 2.238 3.179 5.581
Fe 3.727 1.219 5.247
Fe 2.117 4.901 3.796
Fe 5.464 3.112 1.834
```

# 2
Material: Fe3Sn2
Method: DFT, PBE-GGA
State: relaxed

Summary:
Calculated total energy = -0.4915 Ry per atom
Theoretical density = 8.28 g/cm³
E_form = -1 kJ/mol of formula units

Geometry as extended XYZ:
```
10
Lattice="-2.770 -1.452 6.575 -0.625 -5.799 4.358 2.524 -2.073 6.508" Properties=species:S:1:pos:R:3 pbc="T T T"
Fe 0.798 -4.962 7.434
Fe -1.737 -4.665 7.466
Fe -0.229 -2.881 8.495
Fe -0.641 -6.444 8.946
Fe -1.669 -4.363 10.008
Fe 0.867 -4.660 9.975
Sn -0.091 -0.980 1.833
Sn -0.779 -8.345 15.608
Sn -0.288 -3.084 5.768
Sn -0.582 -6.241 11.673
```

Which value of E_form does entry 1 give?
16 kJ/mol of formula units

Which value of E_form does entry 1 give?
16 kJ/mol of formula units

What is the calculated total energy in the second record?
-0.4915 Ry per atom

The highest theoretical density belongs to which entry?
Fe3Sn2